# 1
A plane-wave DFT calculation with GGA-PBE was carried out for crystalline Mg2MnN2 at its relaxed geometry.

a b c (Å): 5.4570 5.4570 6.1835
angles (deg): 114.41 114.41 46.91
Sites, in units of the cell vectors:
Mg 0.0219 0.0219 0.2497
Mg 0.3269 0.3269 0.9024
Mg 0.6731 0.6731 0.0976
Mg 0.9781 0.9781 0.7503
Mn 0.3635 0.3635 0.3774
Mn 0.6365 0.6365 0.6226
N 0.1805 0.1805 0.1104
N 0.4853 0.4853 0.7214
N 0.5147 0.5147 0.2786
N 0.8195 0.8195 0.8896

Calculated values
Density   3.64 g cm⁻³
E_tot   -63.250 eV per cell
Energy with MP2020 corrections   -6.469 eV/atom
Energy of formation from the pure elements   -0.66 eV/atom

***

# 2
A plane-wave DFT calculation with GGA-PBE was carried out for crystalline Na3HfF7 at its relaxed geometry.

a b c (Å): 5.4878 5.4878 6.2696
angles (deg): 113.25 113.25 90.86
Sites, in units of the cell vectors:
Na 0.0000 0.0000 0.0000
Na 0.2870 0.7529 0.5518
Na 0.7529 0.2870 0.5518
Hf 0.4665 0.4665 0.0157
F 0.1394 0.1394 0.7580
F 0.1617 0.6149 0.8111
F 0.3603 0.3603 0.2568
F 0.4891 0.8391 0.2905
F 0.6149 0.1617 0.8111
F 0.6666 0.6666 0.8963
F 0.8391 0.4891 0.2905

Calculated values
Density   4.05 g cm⁻³
E_tot   -63.818 eV per cell
Energy with MP2020 corrections   -6.096 eV/atom
Energy of formation from the pure elements   -3.61 eV/atom